Mn2SiNi2Ge | PBE-GGA | optimized geometry

Results
Calculated total energy ... -84.333 eV/cell
Energy of formation from the pure elements ... -372 meV per atom

a = 3.609 Å, b = 6.997 Å, c = 5.923 Å
α = 90.00°, β = 90.00°, γ = 90.00°
Space group Pmc2_1 (No. 26)
Unique sites:
Mn  0.000  0.073  0.000
Mn  0.500  0.421  0.937
Si  0.500  0.122  0.714
Ni  0.000  0.301  0.620
Ni  0.500  0.182  0.332
Ge  0.000  0.378  0.228

MnGePd | PBE-GGA | optimized geometry

Results
Calculated total energy ... -59.517 eV/cell
Energy of formation from the pure elements ... -291 meV per atom

a = 6.6771 Å, b = 6.6771 Å, c = 3.5666 Å
α = 90.00°, β = 90.00°, γ = 120.00°
Space group P-62m (No. 189)
Unique sites:
Mn  0.0000  0.5967  0.0000
Ge  0.0000  0.0000  0.0000
Ge  0.3333  0.6667  0.5000
Pd  0.0000  0.2649  0.5000